Record 1
A geometry-optimized U3Ni2O9F16 structure. Source: the Materials Project, functional PBE+U.

POSCAR file:
```
U3Ni2O9F16
1.0
4.0125 -7.0122 0.0000
4.0125 7.0122 0.0000
0.0000 0.0000 16.1479
U Ni O F
6 4 18 32
Direct
0.0056 0.9944 0.7500
0.0078 0.5060 0.7500
0.4940 0.9922 0.7500
0.5060 0.0078 0.2500
0.9922 0.4940 0.2500
0.9944 0.0056 0.2500
0.1660 0.8340 0.0390
0.1660 0.8340 0.4610
0.8340 0.1660 0.5390
0.8340 0.1660 0.9610
0.0803 0.2863 0.0108
0.0803 0.2863 0.4892
0.2863 0.0803 0.5108
0.2863 0.0803 0.9892
0.2885 0.7115 0.5111
0.2885 0.7115 0.9889
0.4758 0.5242 0.2500
0.4794 0.5206 0.6809
0.4794 0.5206 0.8191
0.5206 0.4794 0.1809
0.5206 0.4794 0.3191
0.5242 0.4758 0.7500
0.7115 0.2885 0.0111
0.7115 0.2885 0.4889
0.7137 0.9197 0.0108
0.7137 0.9197 0.4892
0.9197 0.7137 0.5108
0.9197 0.7137 0.9892
0.0454 0.5911 0.1259
0.0454 0.5911 0.3741
0.0459 0.9541 0.1265
0.0459 0.9541 0.3735
0.0579 0.2797 0.1778
0.0579 0.2797 0.3222
0.1595 0.3292 0.7500
0.1621 0.8379 0.2500
0.2778 0.7222 0.6771
0.2778 0.7222 0.8229
0.2797 0.0579 0.6778
0.2797 0.0579 0.8222
0.3189 0.6811 0.2500
0.3292 0.1595 0.2500
0.4089 0.9546 0.1259
0.4089 0.9546 0.3741
0.5911 0.0454 0.6259
0.5911 0.0454 0.8741
0.6708 0.8405 0.7500
0.6811 0.3189 0.7500
0.7203 0.9421 0.1778
0.7203 0.9421 0.3222
0.7222 0.2778 0.1771
0.7222 0.2778 0.3229
0.8379 0.1621 0.7500
0.8405 0.6708 0.2500
0.9421 0.7203 0.6778
0.9421 0.7203 0.8222
0.9541 0.0459 0.6265
0.9541 0.0459 0.8735
0.9546 0.4089 0.6259
0.9546 0.4089 0.8741
```

Total magnetization: 0.567 μB per atom
ΔE_f: -44.51 kcal/mol of atoms

---

Record 2
A geometry-optimized Li5Co2Cu5O12 structure. Source: the Materials Project, functional PBE+U.

POSCAR file:
```
Li5Co2Cu5O12
1.0
2.6723 -4.2214 0.0000
2.6723 4.2214 0.0000
-0.5452 0.0000 9.5062
Li Co Cu O
5 2 5 12
Direct
0.0000 0.0000 0.0000
0.2502 0.2566 0.7577
0.4087 0.0683 0.2451
0.7434 0.7498 0.2423
0.9317 0.5913 0.7549
0.3300 0.6700 0.0000
0.8336 0.1664 0.5000
0.0781 0.4056 0.2484
0.1636 0.8364 0.5000
0.5032 0.4968 0.5000
0.5944 0.9219 0.7516
0.6660 0.3340 0.0000
0.0028 0.3497 0.9008
0.0675 0.7018 0.1297
0.0924 0.1125 0.3698
0.1607 0.4920 0.5963
0.2982 0.9325 0.8703
0.3840 0.3995 0.1220
0.5080 0.8393 0.4037
0.5657 0.2168 0.6257
0.6005 0.6160 0.8780
0.6503 0.9972 0.0992
0.7832 0.4343 0.3743
0.8875 0.9076 0.6302
```

Total magnetization: 0.085 μB per atom
ΔE_f: -31.92 kcal/mol of atoms

---

Record 3
A geometry-optimized Ca4MgSi8Ni3O24 structure. Source: the Materials Project, functional PBE+U.

POSCAR file:
```
Ca4MgSi8Ni3O24
1.0
4.9361 -4.4936 0.0000
4.9361 4.4936 0.0000
-2.9142 0.0000 10.1814
Ca Mg Si Ni O
4 1 8 3 24
Direct
0.0004 0.9996 0.0000
0.0000 0.0000 0.5000
0.5964 0.4033 0.7509
0.5967 0.4036 0.2491
0.3894 0.6106 0.5000
0.1050 0.3227 0.2599
0.1046 0.3227 0.7600
0.4914 0.0812 0.9898
0.4908 0.0817 0.4900
0.6773 0.8954 0.2400
0.6773 0.8950 0.7401
0.9183 0.5092 0.5100
0.9188 0.5086 0.0102
0.2064 0.7938 0.2498
0.2062 0.7936 0.7502
0.3895 0.6105 0.0000
0.0954 0.6737 0.5531
0.0955 0.6738 0.0532
0.1879 0.0906 0.2137
0.1880 0.0908 0.7140
0.2702 0.4988 0.3035
0.2700 0.4994 0.8032
0.3262 0.9045 0.9468
0.3263 0.9046 0.4469
0.4081 0.3131 0.0360
0.4092 0.3141 0.5357
0.5006 0.7300 0.1968
0.5012 0.7298 0.6965
0.6303 0.0709 0.3729
0.6306 0.0714 0.8730
0.6671 0.0344 0.1228
0.6670 0.0343 0.6230
0.6859 0.5908 0.4643
0.6869 0.5919 0.9640
0.9092 0.8120 0.2860
0.9094 0.8121 0.7863
0.9286 0.3694 0.1270
0.9291 0.3697 0.6271
0.9657 0.3330 0.3770
0.9656 0.3329 0.8772
```

Total magnetization: 0.150 μB per atom
ΔE_f: -70.29 kcal/mol of atoms

---

Record 4
A geometry-optimized CoP2O7 structure. Source: the Materials Project, functional PBE+U.

POSCAR file:
```
CoP2O7
1.0
8.2071 0.0000 0.0000
0.0000 5.1935 0.0000
-4.7231 0.0000 12.8592
Co P O
4 8 28
Direct
0.2295 0.2396 0.1400
0.2295 0.2604 0.6400
0.7705 0.7396 0.3600
0.7705 0.7604 0.8600
0.1957 0.7298 0.9799
0.1957 0.7702 0.4799
0.3309 0.7247 0.8027
0.3309 0.7753 0.3027
0.6691 0.2247 0.6973
0.6691 0.2753 0.1973
0.8043 0.2298 0.5201
0.8043 0.2702 0.0201
0.0169 0.7020 0.4007
0.0169 0.7980 0.9007
0.2043 0.0508 0.5149
0.2043 0.4492 0.0149
0.2282 0.5558 0.2349
0.2282 0.9442 0.7349
0.2423 0.0359 0.2658
0.2423 0.4641 0.7658
0.2611 0.5835 0.5705
0.2611 0.9165 0.0705
0.3333 0.7391 0.4197
0.3333 0.7609 0.9197
0.4787 0.2200 0.6877
0.4787 0.2800 0.1877
0.5213 0.7200 0.8123
0.5213 0.7800 0.3123
0.6667 0.2391 0.0803
0.6667 0.2609 0.5803
0.7389 0.0835 0.9295
0.7389 0.4165 0.4295
0.7577 0.5359 0.2342
0.7577 0.9641 0.7342
0.7718 0.0558 0.2651
0.7718 0.4442 0.7651
0.7957 0.5508 0.9851
0.7957 0.9492 0.4851
0.9831 0.2020 0.0993
0.9831 0.2980 0.5993
```

Total magnetization: 0.100 μB per atom
Excess energy over the best structure of this formula in the dataset: 54 meV per atom
ΔE_f: -46.81 kcal/mol of atoms

---

Record 5
A geometry-optimized BaYMnCoO5 structure. Source: the Materials Project, functional PBE+U.

POSCAR file:
```
BaYMnCoO5
1.0
3.9206 0.0000 0.0006
0.0000 3.9206 0.0016
0.0023 0.0064 15.6451
Y Co O Mn Ba
2 2 10 2 2
Direct
0.9999 0.0000 0.7527
0.0000 0.9999 0.2527
0.5005 0.5001 0.8662
0.4997 0.5006 0.3662
0.0003 0.4999 0.3423
0.9993 0.5000 0.8423
0.0000 0.5001 0.1602
0.5000 0.5000 0.5022
0.0000 0.5001 0.6602
0.5000 0.9999 0.6602
0.4998 0.0001 0.8422
0.5000 0.9998 0.1602
0.5000 0.9994 0.3423
0.4999 0.5001 0.0022
0.5003 0.4994 0.1320
0.4999 0.4999 0.6319
0.9998 0.0005 0.4920
0.0004 0.0001 0.9920
```

Total magnetization: 0.001 μB per atom
Excess energy over the best structure of this formula in the dataset: 2 meV per atom
ΔE_f: -59.95 kcal/mol of atoms

---

Record 6
A geometry-optimized VZnH14O8F4 structure. Source: the Materials Project, functional PBE+U.

POSCAR file:
```
VZnH14O8F4
1.0
6.5536 0.0000 0.0000
2.2423 11.1467 0.0000
0.1912 0.0284 14.1595
V Zn H O F
4 4 56 32 16
Direct
0.0053 0.2635 0.2331
0.0125 0.7666 0.2594
0.9875 0.2334 0.7406
0.9947 0.7365 0.7669
0.5000 0.0000 0.0000
0.5000 0.0000 0.5000
0.5000 0.5000 0.0000
0.5000 0.5000 0.5000
0.0206 0.0321 0.3217
0.0489 0.4623 0.8014
0.0962 0.0935 0.0623
0.0988 0.6127 0.4532
0.1018 0.1124 0.9511
0.1030 0.5983 0.5645
0.1144 0.1251 0.4464
0.1244 0.6297 0.9506
0.1656 0.6825 0.0523
0.1667 0.1871 0.5430
0.1782 0.8881 0.6338
0.1942 0.3710 0.8658
0.2393 0.3570 0.0414
0.2678 0.8599 0.4112
0.3042 0.3599 0.3847
0.3041 0.8714 0.8798
0.3212 0.8552 0.1221
0.3232 0.3642 0.6300
0.3855 0.0336 0.6862
0.3965 0.5348 0.1864
0.4115 0.2747 0.9782
0.4260 0.7777 0.4789
0.4276 0.5857 0.8153
0.4460 0.0881 0.3178
0.4474 0.6279 0.3340
0.4510 0.1397 0.8386
0.4573 0.1451 0.1540
0.4586 0.6563 0.6484
0.5414 0.3437 0.3516
0.5427 0.8549 0.8460
0.5490 0.8603 0.1614
0.5526 0.3721 0.6660
0.5540 0.9119 0.6822
0.5724 0.4143 0.1847
0.5740 0.2223 0.5211
0.5885 0.7253 0.0218
0.6035 0.4652 0.8136
0.6145 0.9664 0.3138
0.6768 0.6358 0.3700
0.6788 0.1448 0.8779
0.6959 0.1286 0.1202
0.6958 0.6401 0.6153
0.7322 0.1401 0.5888
0.7607 0.6430 0.9586
0.8058 0.6290 0.1342
0.8218 0.1119 0.3662
0.8333 0.8129 0.4570
0.8344 0.3175 0.9477
0.8756 0.3703 0.0494
0.8856 0.8749 0.5536
0.8970 0.4017 0.4355
0.8982 0.8876 0.0489
0.9012 0.3873 0.5468
0.9038 0.9065 0.9377
0.9511 0.5377 0.1986
0.9794 0.9679 0.6783
0.0347 0.8854 0.6544
0.0358 0.3616 0.1478
0.1177 0.8742 0.3071
0.1304 0.3799 0.8025
0.1821 0.5718 0.5056
0.1827 0.0719 0.0042
0.2122 0.6155 0.0076
0.2157 0.1208 0.4984
0.3225 0.3555 0.9824
0.3405 0.8585 0.4724
0.4427 0.9636 0.6454
0.4461 0.3622 0.4068
0.4470 0.8733 0.9011
0.4608 0.3781 0.6102
0.4632 0.8635 0.1036
0.4854 0.4758 0.1447
0.5146 0.5242 0.8553
0.5368 0.1365 0.8964
0.5392 0.6219 0.3898
0.5530 0.1267 0.0989
0.5539 0.6378 0.5932
0.5573 0.0364 0.3546
0.6595 0.1415 0.5276
0.6775 0.6445 0.0176
0.7843 0.8792 0.5016
0.7878 0.3845 0.9924
0.8173 0.9281 0.9958
0.8179 0.4282 0.4944
0.8696 0.6201 0.1975
0.8823 0.1258 0.6929
0.9642 0.6384 0.8522
0.9653 0.1146 0.3456
0.0589 0.3486 0.3460
0.0614 0.8608 0.8497
0.0738 0.7992 0.1251
0.0796 0.3009 0.6223
0.2584 0.6363 0.2576
0.2742 0.1451 0.7565
0.2870 0.1693 0.2416
0.2915 0.6847 0.7407
0.7085 0.3153 0.2593
0.7130 0.8307 0.7584
0.7258 0.8549 0.2435
0.7416 0.3637 0.7424
0.9204 0.6991 0.3777
0.9262 0.2008 0.8749
0.9386 0.1392 0.1503
0.9411 0.6514 0.6540
```

Total magnetization: 0.036 μB per atom
ΔE_f: -37.98 kcal/mol of atoms

---

Record 7
A geometry-optimized NaMgNiO2 structure. Source: the Materials Project, functional PBE+U.

POSCAR file:
```
NaMgNiO2
1.0
1.5638 0.9029 7.8672
-1.5638 0.9029 7.8672
0.0000 -1.8057 7.8672
Na Mg Ni O
1 1 1 2
Direct
0.0000 0.0000 0.0000
0.4378 0.4378 0.4378
0.5641 0.5641 0.5641
0.2681 0.2681 0.2681
0.7392 0.7392 0.7392
```

Total magnetization: 0.308 μB per atom
Excess energy over the best structure of this formula in the dataset: 85 meV per atom
ΔE_f: -33.11 kcal/mol of atoms

---

Record 8
A geometry-optimized Mn2OF3 structure. Source: the Materials Project, functional PBE+U.

POSCAR file:
```
Mn2OF3
1.0
10.6320 0.0000 0.0000
0.0000 6.0319 0.0000
0.0000 0.0000 4.8088
Mn O F
8 4 12
Direct
0.0000 0.0000 0.0000
0.0000 0.5000 0.0000
0.2178 0.2500 0.4557
0.2822 0.7500 0.9557
0.5000 0.0000 0.5000
0.5000 0.5000 0.5000
0.7178 0.2500 0.0443
0.7822 0.7500 0.5443
0.0671 0.2500 0.1942
0.4329 0.7500 0.6942
0.5671 0.2500 0.3058
0.9329 0.7500 0.8058
0.1020 0.7500 0.2028
0.1613 0.0012 0.7526
0.1613 0.4988 0.7526
0.3387 0.5012 0.2526
0.3387 0.9988 0.2526
0.3980 0.2500 0.7028
0.6020 0.7500 0.2972
0.6613 0.0012 0.7474
0.6613 0.4988 0.7474
0.8387 0.5012 0.2474
0.8387 0.9988 0.2474
0.8980 0.2500 0.7972
```

Total magnetization: 0.000 μB per atom
Excess energy over the best structure of this formula in the dataset: 19 meV per atom
ΔE_f: -60.42 kcal/mol of atoms

---

Record 9
A geometry-optimized MnFe2Ag2P3O12 structure. Source: the Materials Project, functional PBE+U.

POSCAR file:
```
MnFe2Ag2P3O12
1.0
6.1240 -6.4114 0.0000
6.1240 6.4114 0.0000
-2.6979 0.0000 6.0114
Mn Fe Ag P O
2 4 4 6 24
Direct
0.2326 0.7674 0.7500
0.7674 0.2326 0.2500
0.1167 0.4399 0.8715
0.4399 0.1167 0.3715
0.5601 0.8833 0.6285
0.8833 0.5601 0.1285
0.0000 0.0000 0.0000
0.0000 0.0000 0.5000
0.4902 0.5098 0.2500
0.5098 0.4902 0.7500
0.1537 0.3725 0.3747
0.2162 0.7838 0.2500
0.3725 0.1537 0.8747
0.6275 0.8463 0.1253
0.7838 0.2162 0.7500
0.8463 0.6275 0.6253
0.0258 0.2319 0.3247
0.0441 0.7556 0.2563
0.1004 0.4512 0.1858
0.1703 0.4980 0.6038
0.2319 0.0258 0.8247
0.2393 0.6684 0.0357
0.2444 0.9559 0.2437
0.3203 0.3212 0.8840
0.3212 0.3203 0.3840
0.3316 0.7607 0.4643
0.4512 0.1004 0.6858
0.4980 0.1703 0.1038
0.5020 0.8297 0.8962
0.5488 0.8996 0.3142
0.6684 0.2393 0.5357
0.6788 0.6797 0.6160
0.6797 0.6788 0.1160
0.7556 0.0441 0.7563
0.7607 0.3316 0.9643
0.7681 0.9742 0.1753
0.8297 0.5020 0.3962
0.8996 0.5488 0.8142
0.9559 0.2444 0.7437
0.9742 0.7681 0.6753
```

Total magnetization: 0.700 μB per atom
ΔE_f: -48.82 kcal/mol of atoms